! Ba2PrVO6, optimized geometry, DFT PBE+U; values from VASP
! E_tot = -288.52 eV/cell
! formation energy from the elements = -70.5 kcal/mol of atoms
! magnetic moment = 0.00 μB per cell
&SYSTEM
  ibrav = 0, nat = 40, ntyp = 4
/
ATOMIC_SPECIES
Ba 137.33 Ba.upf
Pr 140.91 Pr.upf
V 50.94 V.upf
O 16.00 O.upf
CELL_PARAMETERS angstrom
8.541 0.000 0.000
0.000 8.541 0.000
0.000 0.000 8.541
ATOMIC_POSITIONS angstrom
Ba 2.135 2.135 2.135
Ba 2.135 2.135 6.405
Ba 2.135 6.405 2.135
Ba 2.135 6.405 6.405
Ba 6.405 2.135 2.135
Ba 6.405 2.135 6.405
Ba 6.405 6.405 2.135
Ba 6.405 6.405 6.405
Pr 0.000 0.000 0.000
Pr 0.000 4.270 4.270
Pr 4.270 0.000 4.270
Pr 4.270 4.270 0.000
V 0.000 0.000 4.270
V 0.000 4.270 0.000
V 4.270 0.000 0.000
V 4.270 4.270 4.270
O 0.082 4.361 6.622
O 0.082 8.450 6.189
O 0.091 1.918 4.352
O 0.091 2.352 8.459
O 1.918 4.352 0.091
O 1.918 8.459 4.180
O 2.352 4.352 4.180
O 2.352 8.459 0.091
O 4.180 1.918 8.459
O 4.180 2.352 4.352
O 4.189 4.361 6.189
O 4.189 8.450 6.622
O 4.352 0.091 1.918
O 4.352 4.180 2.352
O 4.361 6.189 4.189
O 4.361 6.622 0.082
O 6.189 0.082 8.450
O 6.189 4.189 4.361
O 6.622 0.082 4.361
O 6.622 4.189 8.450
O 8.450 6.189 0.082
O 8.450 6.622 4.189
O 8.459 0.091 2.352
O 8.459 4.180 1.918

***

! Ba2PrVO6, optimized geometry, DFT PBE+U; values from VASP
! E_tot = -72.17 eV/cell
! formation energy from the elements = -70.6 kcal/mol of atoms
! magnetic moment = 0.00 μB per cell
&SYSTEM
  ibrav = 0, nat = 10, ntyp = 4
/
ATOMIC_SPECIES
Ba 137.33 Ba.upf
Pr 140.91 Pr.upf
V 50.94 V.upf
O 16.00 O.upf
CELL_PARAMETERS angstrom
0.000 4.266 4.266
4.266 0.000 4.266
4.266 4.266 0.000
ATOMIC_POSITIONS angstrom
Ba 2.133 2.133 2.133
Ba 6.399 6.399 6.399
Pr 0.000 0.000 0.000
V 4.266 4.266 4.266
O 4.266 4.266 2.348
O 4.266 2.348 4.266
O 6.184 4.266 4.266
O 2.348 4.266 4.266
O 4.266 6.184 4.266
O 4.266 4.266 6.184

***

! Ba2PrV3O11, optimized geometry, DFT PBE+U; values from VASP
! E_tot = -514.16 eV/cell
! formation energy from the elements = -69.0 kcal/mol of atoms
! magnetic moment = 0.00 μB per cell
&SYSTEM
  ibrav = 0, nat = 68, ntyp = 4
/
ATOMIC_SPECIES
Ba 137.33 Ba.upf
Pr 140.91 Pr.upf
V 50.94 V.upf
O 16.00 O.upf
CELL_PARAMETERS angstrom
12.582 0.000 0.000
0.000 7.877 0.000
-2.606 0.000 11.174
ATOMIC_POSITIONS angstrom
Ba -0.338 1.948 4.350
Ba -1.641 1.991 9.936
Ba 0.875 5.718 10.516
Ba 2.178 6.098 4.929
Ba 7.799 1.779 6.245
Ba 9.102 2.159 0.658
Ba 11.617 5.886 1.237
Ba 10.314 5.929 6.824
Pr 5.713 0.006 2.355
Pr 4.410 3.932 7.941
Pr 5.566 3.945 3.232
Pr 4.263 7.871 8.819
V 1.842 0.157 1.940
V 0.540 3.781 7.527
V 0.591 0.154 7.487
V 1.894 3.784 1.900
V 3.837 1.973 5.313
V 2.535 1.966 10.900
V 7.442 5.911 0.274
V 6.139 5.904 5.861
V 8.082 4.093 9.274
V 9.385 7.723 3.687
V 9.437 4.096 3.647
V 8.134 7.720 9.234
O -0.664 4.390 8.580
O 0.639 7.426 2.993
O 1.298 4.424 0.428
O -0.005 7.392 6.015
O 0.173 4.367 5.970
O 1.476 7.448 0.383
O 0.897 4.396 3.134
O -0.406 7.419 8.721
O 1.666 1.971 1.872
O 0.363 1.967 7.459
O 2.426 1.082 4.989
O 1.123 2.856 10.576
O 2.076 4.396 8.041
O 3.379 7.419 2.454
O 3.513 4.351 2.119
O 2.210 7.464 7.705
O 2.270 0.247 10.870
O 3.573 3.692 5.284
O 5.111 1.703 4.103
O 3.808 2.236 9.690
O 4.492 1.685 6.939
O 5.795 2.254 1.352
O 4.181 5.623 9.822
O 5.484 6.192 4.235
O 6.168 5.641 1.484
O 4.865 6.174 7.071
O 6.403 4.185 5.890
O 7.706 7.630 0.303
O 7.767 0.413 3.468
O 6.464 3.526 9.055
O 6.598 0.457 8.720
O 7.901 3.481 3.133
O 8.853 5.021 0.598
O 7.550 6.794 6.184
O 9.614 5.910 3.715
O 8.311 5.906 9.302
O 10.382 0.458 2.453
O 9.079 3.481 8.040
O 8.500 0.429 10.790
O 9.803 3.509 5.204
O 9.981 0.485 5.159
O 8.679 3.453 10.746
O 9.338 0.451 8.180
O 10.641 3.487 2.593